(1)
CrH9C6S6O3: relaxed, PBE+U.

Values from the calculation:
The total magnetic moment comes out at 1.00 μB per formula unit. As for the crystal system: monoclinic.

Unit cell a=14.0702 b=9.7793 c=12.7553 alpha=59.92 beta=90.00 gamma=90.00
With the nearest neighbours (Å) after each atom.
Fractional positions:
Cr 0.9843 0.5908 0.2316  6 S 2.44-2.45
Cr 0.5157 0.5908 0.7316  6 S 2.44-2.45
Cr 0.0157 0.4092 0.7684  6 S 2.44-2.45
Cr 0.4843 0.4092 0.2684  6 S 2.44-2.45
H 0.0339 0.9386 0.3005  1 C 1.09
H 0.4661 0.9386 0.8005  1 C 1.09
H 0.9661 0.0614 0.6995  1 C 1.09
H 0.5339 0.0614 0.1995  1 C 1.09
H 0.0258 0.1238 0.1611  1 C 1.10
H 0.4742 0.1238 0.6611  1 C 1.10
H 0.9742 0.8762 0.8389  1 C 1.10
H 0.5258 0.8762 0.3389  1 C 1.10
H 0.1216 0.0906 0.2643  1 C 1.10
H 0.3784 0.0906 0.7643  1 C 1.10
H 0.8784 0.9094 0.7357  1 C 1.10
H 0.6216 0.9094 0.2357  1 C 1.10
H 0.6307 0.9577 0.9866  1 C 1.09
H 0.8693 0.9577 0.4866  1 C 1.09
H 0.3693 0.0423 0.0134  1 C 1.09
H 0.1307 0.0423 0.5134  1 C 1.09
H 0.7382 0.9289 0.9252  1 C 1.09
H 0.7618 0.9289 0.4252  1 C 1.09
H 0.2618 0.0711 0.0748  1 C 1.09
H 0.2382 0.0711 0.5748  1 C 1.09
H 0.6643 0.7616 0.0208  1 C 1.10
H 0.8357 0.7616 0.5208  1 C 1.10
H 0.3357 0.2384 0.9792  1 C 1.10
H 0.1643 0.2384 0.4792  1 C 1.10
H 0.3327 0.8287 0.3648  1 C 1.09
H 0.1673 0.8287 0.8648  1 C 1.09
H 0.6673 0.1713 0.6352  1 C 1.09
H 0.8327 0.1713 0.1352  1 C 1.09
H 0.3011 0.6272 0.4113  1 C 1.10
H 0.1989 0.6272 0.9113  1 C 1.10
H 0.6989 0.3728 0.5887  1 C 1.10
H 0.8011 0.3728 0.0887  1 C 1.10
H 0.2247 0.7459 0.4470  1 C 1.10
H 0.2753 0.7459 0.9470  1 C 1.10
H 0.7753 0.2541 0.5530  1 C 1.10
H 0.7247 0.2541 0.0530  1 C 1.10
C 0.0468 0.0657 0.2566  3 H 1.09-1.10
C 0.4532 0.0657 0.7566  3 H 1.09-1.10
C 0.9532 0.9343 0.7434  3 H 1.09-1.10
C 0.5468 0.9343 0.2434  3 H 1.09-1.10
C 0.6899 0.8772 0.0030  3 H 1.09-1.10
C 0.8101 0.8772 0.5030  3 H 1.09-1.10
C 0.3101 0.1228 0.9970  3 H 1.09-1.10
C 0.1899 0.1228 0.4970  3 H 1.09-1.10
C 0.2743 0.7469 0.3804  3 H 1.09-1.10
C 0.2257 0.7469 0.8804  3 H 1.09-1.10
C 0.7257 0.2531 0.6196  3 H 1.09-1.10
C 0.7743 0.2531 0.1196  3 H 1.09-1.10
C 0.9889 0.2731 0.2888  1 O 1.34
C 0.5111 0.2731 0.7888  1 O 1.34
C 0.0111 0.7269 0.7112  1 O 1.34
C 0.4889 0.7269 0.2112  1 O 1.34
C 0.8162 0.7693 0.1474  1 O 1.33
C 0.6838 0.7693 0.6474  1 O 1.33
C 0.1838 0.2307 0.8526  1 O 1.33
C 0.3162 0.2307 0.3526  1 O 1.33
C 0.1508 0.7325 0.2568  1 O 1.33
C 0.3492 0.7325 0.7568  1 O 1.33
C 0.8492 0.2675 0.7432  1 O 1.33
C 0.6508 0.2675 0.2432  1 O 1.33
S 0.0592 0.4087 0.1772  1 C 1.69
S 0.4408 0.4087 0.6772  1 C 1.69
S 0.9408 0.5913 0.8228  1 C 1.69
S 0.5592 0.5913 0.3228  1 C 1.69
S 0.9163 0.3306 0.3658  1 C 1.70
S 0.5837 0.3306 0.8658  1 C 1.70
S 0.0837 0.6694 0.6342  1 C 1.70
S 0.4163 0.6694 0.1342  1 C 1.70
S 0.8640 0.6825 0.0731  1 C 1.70
S 0.6360 0.6825 0.5731  1 C 1.70
S 0.1360 0.3175 0.9269  1 C 1.70
S 0.3640 0.3175 0.4269  1 C 1.70
S 0.8691 0.7418 0.2761  1 C 1.70
S 0.6309 0.7418 0.7761  1 C 1.70
S 0.1309 0.2582 0.7239  1 C 1.70
S 0.3691 0.2582 0.2239  1 C 1.70
S 0.0971 0.8074 0.1196  1 C 1.70
S 0.4029 0.8074 0.6196  1 C 1.70
S 0.9029 0.1926 0.8804  1 C 1.70
S 0.5971 0.1926 0.3804  1 C 1.70
S 0.1035 0.5710 0.3777  1 C 1.70
S 0.3965 0.5710 0.8777  1 C 1.70
S 0.8965 0.4290 0.6223  1 C 1.70
S 0.6035 0.4290 0.1223  1 C 1.70
O 0.9872 0.1202 0.3214  2 C 1.34-1.45
O 0.5128 0.1202 0.8214  2 C 1.34-1.45
O 0.0128 0.8798 0.6786  2 C 1.34-1.45
O 0.4872 0.8798 0.1786  2 C 1.34-1.45
O 0.7385 0.8591 0.1099  2 C 1.33-1.45
O 0.7615 0.8591 0.6099  2 C 1.33-1.45
O 0.2615 0.1409 0.8901  2 C 1.33-1.45
O 0.2385 0.1409 0.3901  2 C 1.33-1.45
O 0.2275 0.8077 0.2638  2 C 1.33-1.45
O 0.2725 0.8077 0.7638  2 C 1.33-1.45
O 0.7725 0.1923 0.7362  2 C 1.33-1.45
O 0.7275 0.1923 0.2362  2 C 1.33-1.45

(2)
FeO2: relaxed, PBE+U.

Values from the calculation:
The total magnetic moment comes out at 4.00 μB per formula unit. As for the crystal system: monoclinic.

Unit cell a=2.9417 b=10.1649 c=10.3558 alpha=89.71 beta=90.00 gamma=90.00
With the nearest neighbours (Å) after each atom.
Fractional positions:
Fe 0.0000 0.8362 0.6586  6 O 1.92-2.10
Fe 0.0000 0.6448 0.1753  6 O 1.93-2.06
Fe 0.5000 0.3278 0.1374  6 O 1.93-2.08
Fe 0.5000 0.1571 0.6561  6 O 1.93-2.10
Fe 0.0000 0.1638 0.3414  6 O 1.92-2.10
Fe 0.0000 0.3552 0.8247  6 O 1.93-2.06
Fe 0.5000 0.6722 0.8626  6 O 1.93-2.08
Fe 0.5000 0.8429 0.3439  6 O 1.93-2.10
O 0.0000 0.7944 0.8578  3 Fe 1.93-2.10
O 0.0000 0.5492 0.8485  3 Fe 1.94-1.99
O 0.0000 0.8406 0.2238  3 Fe 1.93-2.06
O 0.0000 0.8338 0.4642  3 Fe 1.93-2.01
O 0.5000 0.2857 0.3340  3 Fe 1.92-2.08
O 0.5000 0.0414 0.3356  3 Fe 1.93-2.02
O 0.5000 0.3571 0.7044  3 Fe 1.93-2.10
O 0.5000 0.3345 0.9452  3 Fe 1.94-1.99
O 0.0000 0.2056 0.1422  3 Fe 1.93-2.10
O 0.0000 0.4508 0.1515  3 Fe 1.94-1.99
O 0.0000 0.1594 0.7762  3 Fe 1.93-2.06
O 0.0000 0.1662 0.5358  3 Fe 1.93-2.01
O 0.5000 0.7143 0.6660  3 Fe 1.92-2.08
O 0.5000 0.9586 0.6644  3 Fe 1.93-2.02
O 0.5000 0.6429 0.2956  3 Fe 1.93-2.10
O 0.5000 0.6655 0.0548  3 Fe 1.94-1.99

(3)
Co3P2O8: relaxed, PBE+U.

Values from the calculation:
The total magnetic moment comes out at 9.00 μB per formula unit. The value obtained for the energy above the most stable polymorph in this dataset is 0.020 eV/atom. As for the crystal system: triclinic.

Unit cell a=4.7935 b=6.0134 c=10.3482 alpha=90.81 beta=89.54 gamma=90.29
With the nearest neighbours (Å) after each atom.
Fractional positions:
Co 0.5241 0.2362 0.7746  5 O 2.04-2.14
Co 0.9800 0.2350 0.2765  5 O 2.05-2.17
Co 0.0200 0.7650 0.7235  5 O 2.05-2.17
Co 0.4759 0.7638 0.2254  5 O 2.04-2.14
Co 0.5000 0.5000 0.5000  6 O 2.03-2.16
Co 0.0000 0.5000 0.0000  6 O 2.12-2.16
P 0.0798 0.2573 0.5948  4 O 1.54-1.61
P 0.4242 0.2576 0.0970  4 O 1.54-1.60
P 0.5758 0.7424 0.9030  4 O 1.54-1.60
P 0.9202 0.7427 0.4052  4 O 1.54-1.61
O 0.7314 0.5329 0.8394  1 P 1.60
O 0.2382 0.4716 0.6537  1 P 1.61
O 0.2686 0.4671 0.1606  1 P 1.60
O 0.7618 0.5284 0.3463  1 P 1.61
O 0.1910 0.2500 0.4537  1 P 1.55
O 0.6837 0.7457 0.0439  1 P 1.55
O 0.3163 0.2543 0.9561  1 P 1.55
O 0.8090 0.7500 0.5463  1 P 1.55
O 0.2398 0.7249 0.3960  1 P 1.54
O 0.7602 0.2751 0.6040  1 P 1.54
O 0.2549 0.7237 0.8949  1 P 1.54
O 0.7451 0.2762 0.1051  1 P 1.54
O 0.6913 0.9378 0.8219  1 P 1.55
O 0.8069 0.9334 0.3209  1 P 1.55
O 0.3087 0.0622 0.1781  1 P 1.55
O 0.1931 0.0666 0.6791  1 P 1.55

(4)
CaH36W6C12S6O25: relaxed, PBE+U.

Values from the calculation:
The total magnetic moment comes out at 0.12 μB per formula unit. As for the crystal system: triclinic.

Unit cell a=8.7035 b=11.9336 c=11.9511 alpha=83.83 beta=73.14 gamma=74.18
With the nearest neighbours (Å) after each atom.
Fractional positions:
Ca 0.0000 0.5000 0.5000  6 O 2.38-2.40
H 0.1894 0.4980 0.8178  1 C 1.10
H 0.8106 0.5020 0.1822  1 C 1.10
H 0.1300 0.6510 0.8500  1 C 1.10
H 0.8700 0.3490 0.1500  1 C 1.10
H 0.0034 0.5910 0.7879  1 C 1.10
H 0.9966 0.4090 0.2121  1 C 1.10
H 0.1934 0.7926 0.5410  1 C 1.10
H 0.8066 0.2074 0.4590  1 C 1.10
H 0.0045 0.7590 0.6304  1 C 1.10
H 0.9955 0.2410 0.3696  1 C 1.10
H 0.1309 0.8135 0.6969  1 C 1.10
H 0.8691 0.1865 0.3031  1 C 1.10
H 0.9394 0.9140 0.2790  1 C 1.10
H 0.0606 0.0860 0.7210  1 C 1.10
H 0.7196 0.9725 0.3249  1 C 1.10
H 0.2804 0.0275 0.6751  1 C 1.10
H 0.8375 0.9420 0.4328  1 C 1.10
H 0.1625 0.0580 0.5672  1 C 1.10
H 0.5755 0.7130 0.5021  1 C 1.10
H 0.4245 0.2870 0.4979  1 C 1.10
H 0.6259 0.8280 0.5596  1 C 1.10
H 0.3741 0.1720 0.4404  1 C 1.10
H 0.5115 0.8607 0.4494  1 C 1.10
H 0.4885 0.1393 0.5506  1 C 1.10
H 0.7609 0.5259 0.9380  1 C 1.10
H 0.2391 0.4741 0.0620  1 C 1.10
H 0.6538 0.4125 0.9592  1 C 1.10
H 0.3462 0.5875 0.0408  1 C 1.10
H 0.8606 0.3906 0.8626  1 C 1.10
H 0.1394 0.6094 0.1374  1 C 1.10
H 0.5712 0.4179 0.6601  1 C 1.09
H 0.4288 0.5821 0.3399  1 C 1.09
H 0.7503 0.3289 0.7025  1 C 1.10
H 0.2497 0.6711 0.2975  1 C 1.10
H 0.5464 0.3514 0.8051  1 C 1.10
H 0.4536 0.6486 0.1949  1 C 1.10
W 0.6970 0.8259 0.0288  1 O 1.74
W 0.3030 0.1741 0.9712  1 O 1.74
W 0.6496 0.0068 0.8005  2 O 1.75-1.96
W 0.3504 0.9932 0.1995  2 O 1.75-1.96
W 0.3385 0.8894 0.9534  1 O 1.74
W 0.6615 0.1106 0.0466  1 O 1.74
C 0.1296 0.5862 0.7916  3 H 1.10
C 0.8704 0.4138 0.2084  3 H 1.10
C 0.1312 0.7608 0.6270  3 H 1.10
C 0.8688 0.2392 0.3730  3 H 1.10
C 0.8270 0.9152 0.3507  3 H 1.10
C 0.1730 0.0848 0.6493  3 H 1.10
C 0.6070 0.7971 0.4825  3 H 1.10
C 0.3930 0.2029 0.5175  3 H 1.10
C 0.7426 0.4548 0.8966  3 H 1.10
C 0.2574 0.5452 0.1034  3 H 1.10
C 0.6279 0.3899 0.7324  3 H 1.09-1.10
C 0.3721 0.6101 0.2676  3 H 1.09-1.10
S 0.2482 0.6146 0.6467  1 O 1.53
S 0.7518 0.3854 0.3533  1 O 1.53
S 0.7980 0.7700 0.3674  1 O 1.53
S 0.2020 0.2300 0.6326  1 O 1.53
S 0.6550 0.5198 0.7785  1 O 1.52
S 0.3450 0.4802 0.2215  1 O 1.52
O 0.2119 0.5401 0.5663  1 S 1.53
O 0.7881 0.4599 0.4337  1 S 1.53
O 0.9294 0.6950 0.4242  1 S 1.53
O 0.0706 0.3050 0.5758  1 S 1.53
O 0.7950 0.5527 0.6820  1 S 1.52
O 0.2050 0.4473 0.3180  1 S 1.52
O 0.5000 0.0000 0.0000  6 W 2.37-2.38
O 0.5279 0.7707 0.9868  2 W 1.97
O 0.4721 0.2293 0.0132  2 W 1.97
O 0.8383 0.6958 0.0500  1 W 1.74
O 0.1617 0.3042 0.9500  1 W 1.74
O 0.7779 0.8651 0.8625  2 W 1.96
O 0.2221 0.1349 0.1375  2 W 1.96
O 0.4907 0.9168 0.8018  2 W 1.96
O 0.5093 0.0832 0.1982  2 W 1.96
O 0.2235 0.8068 0.9170  1 W 1.74
O 0.7765 0.1932 0.0830  1 W 1.74
O 0.7866 0.9488 0.0611  2 W 1.96
O 0.2134 0.0512 0.9389  2 W 1.96
O 0.5375 0.8545 0.1843  2 W 1.96-1.97
O 0.4625 0.1455 0.8157  2 W 1.96-1.97
O 0.7576 0.0118 0.6525  1 W 1.75
O 0.2424 0.9882 0.3475  1 W 1.75
O 0.7501 0.0947 0.8763  2 W 1.96-1.97
O 0.2499 0.9053 0.1237  2 W 1.96-1.97

(5)
LiVF4: relaxed, PBE+U.

Values from the calculation:
The total magnetic moment comes out at 2.00 μB per formula unit. The value obtained for the energy above the most stable polymorph in this dataset is 0.047 eV/atom. As for the crystal system: orthorhombic.

Unit cell a=4.7522 b=6.2818 c=9.9683 alpha=90.00 beta=90.00 gamma=90.00
With the nearest neighbours (Å) after each atom.
Fractional positions:
Li 0.9733 0.7500 0.7161  4 F 1.95-2.07
Li 0.5267 0.7500 0.2161  4 F 1.95-2.07
Li 0.4733 0.2500 0.7839  4 F 1.95-2.07
Li 0.0267 0.2500 0.2839  4 F 1.95-2.07
V 0.5000 0.5000 0.5000  6 F 1.90-2.04
V 0.0000 0.5000 0.0000  6 F 1.90-2.04
V 0.5000 0.0000 0.5000  6 F 1.90-2.04
V 0.0000 0.0000 0.0000  6 F 1.90-2.04
F 0.7542 0.5137 0.1504  1 V 1.90, 1 Li 1.95
F 0.2542 0.4863 0.3496  1 V 1.90, 1 Li 1.95
F 0.8117 0.7500 0.9092  2 V 2.02, 1 Li 2.07
F 0.6883 0.7500 0.4092  2 V 2.02, 1 Li 2.07
F 0.2816 0.7500 0.5785  1 Li 2.01, 2 V 2.04
F 0.2184 0.7500 0.0785  1 Li 2.01, 2 V 2.04
F 0.7458 0.9863 0.6504  1 V 1.90, 1 Li 1.95
F 0.7542 0.9863 0.1504  1 V 1.90, 1 Li 1.95
F 0.2458 0.0137 0.8496  1 V 1.90, 1 Li 1.95
F 0.2542 0.0137 0.3496  1 V 1.90, 1 Li 1.95
F 0.7816 0.2500 0.9215  1 Li 2.01, 2 V 2.04
F 0.7184 0.2500 0.4215  1 Li 2.01, 2 V 2.04
F 0.3117 0.2500 0.5908  2 V 2.02, 1 Li 2.07
F 0.1883 0.2500 0.0908  2 V 2.02, 1 Li 2.07
F 0.7458 0.5137 0.6504  1 V 1.90, 1 Li 1.95
F 0.2458 0.4863 0.8496  1 V 1.90, 1 Li 1.95

(6)
Li9Co7O16: relaxed, PBE+U.

Values from the calculation:
The total magnetic moment comes out at 0.02 μB per formula unit. The value obtained for the energy above the most stable polymorph in this dataset is 0.074 eV/atom. As for the crystal system: triclinic.

Unit cell a=5.7277 b=5.7928 c=9.7200 alpha=91.39 beta=98.25 gamma=119.52
With the nearest neighbours (Å) after each atom.
Fractional positions:
Li 0.7457 0.8670 0.2492  6 O 2.01-2.25
Li 0.7440 0.6237 0.7478  5 O 2.02-2.19
Li 0.7458 0.3786 0.2488  6 O 2.07-2.20
Li 0.2560 0.3763 0.2522  5 O 2.02-2.19
Li 0.2543 0.1330 0.7508  6 O 2.01-2.25
Li 0.2517 0.8753 0.2492  6 O 2.04-2.13
Li 0.7483 0.1247 0.7508  6 O 2.04-2.13
Li 0.2542 0.6214 0.7512  6 O 2.07-2.20
Li 0.5000 0.5000 0.0000  6 O 2.03-2.08
Co 0.0000 0.0000 0.0000  6 O 1.87-2.02
Co 0.0000 0.5000 0.0000  6 O 1.87-1.95
Co 0.0005 0.7502 0.4999  6 O 2.01-2.06
Co 0.9995 0.2498 0.5001  6 O 2.01-2.06
Co 0.4998 0.2494 0.4999  6 O 1.92-2.13
Co 0.5000 0.0000 0.0000  6 O 1.89-1.95
Co 0.5002 0.7506 0.5001  6 O 1.92-2.13
O 0.8673 0.1970 0.1098  3 Co 1.95-2.01, 2 Li 2.08-2.17
O 0.8605 0.9307 0.6160  3 Co 1.94-2.06, 3 Li 2.07-2.16
O 0.8890 0.6821 0.1108  2 Co 1.87-2.02, 2 Li 2.04-2.05
O 0.3624 0.7037 0.1048  2 Co 1.89-1.91, 2 Li 2.03-2.04
O 0.3772 0.4207 0.6212  3 Co 1.93-2.13, 3 Li 2.01-2.11
O 0.3534 0.1599 0.1046  2 Co 1.87-1.89, 1 Li 2.08
O 0.8581 0.4312 0.6150  3 Co 1.93-2.05, 2 Li 2.06-2.13
O 0.3759 0.9196 0.6198  3 Co 1.92-2.13, 2 Li 2.06-2.07
O 0.6228 0.5793 0.3788  3 Co 1.93-2.13, 3 Li 2.01-2.11
O 0.6376 0.2963 0.8952  2 Co 1.89-1.91, 2 Li 2.03-2.04
O 0.6241 0.0804 0.3802  3 Co 1.92-2.13, 2 Li 2.06-2.07
O 0.1395 0.0693 0.3840  3 Co 1.94-2.06, 3 Li 2.07-2.16
O 0.1327 0.8030 0.8902  3 Co 1.95-2.01, 2 Li 2.08-2.17
O 0.1419 0.5688 0.3850  3 Co 1.93-2.05, 2 Li 2.06-2.13
O 0.6466 0.8401 0.8954  2 Co 1.87-1.89, 1 Li 2.08
O 0.1110 0.3179 0.8892  2 Co 1.87-2.02, 2 Li 2.04-2.05

(7)
LiV4O5F7: relaxed, PBE+U.

Values from the calculation:
The total magnetic moment comes out at 4.00 μB per formula unit. The value obtained for the energy above the most stable polymorph in this dataset is 0.014 eV/atom. As for the crystal system: triclinic.

Unit cell a=5.1468 b=5.3395 c=7.5830 alpha=86.83 beta=89.47 gamma=87.85
With the nearest neighbours (Å) after each atom.
Fractional positions:
Li 0.4933 0.0832 0.8019  3 O 2.03-2.21, 3 F 2.03-2.24
V 0.0121 0.9732 0.5023  1 O 1.69
V 0.4751 0.4685 0.4991  2 O 1.72-1.91
V 0.4847 0.5166 0.0262  1 O 1.71
V 0.9951 0.0047 0.0041  2 O 1.77-1.86, 2 F 1.96-1.97
O 0.2068 0.7140 0.5420  1 V 1.69
O 0.2983 0.2079 0.5524  1 V 1.72
O 0.2934 0.8190 0.9433  2 V 1.86-1.94, 1 Li 2.03
O 0.4117 0.4968 0.2466  1 V 1.71
O 0.7181 0.2064 0.0251  1 V 1.77
F 0.1030 0.0116 0.2516  2 V 1.96-1.97
F 0.2119 0.3058 0.9381  2 V 1.98-2.03, 1 Li 2.13
F 0.5894 0.4849 0.7469  2 V 1.98-2.19
F 0.6991 0.7839 0.4569  2 V 1.98-2.08
F 0.8038 0.2863 0.4493  2 V 1.96-1.98
F 0.8029 0.6980 0.0517  2 V 1.95-1.96
F 0.8700 0.9946 0.7426  2 V 1.96-2.09, 1 Li 2.03

(8)
Li3MnCo2O6: relaxed, PBE+U.

Values from the calculation:
The total magnetic moment comes out at 12.00 μB per formula unit. The value obtained for the energy above the most stable polymorph in this dataset is 0.046 eV/atom. As for the crystal system: triclinic.

Unit cell a=2.9492 b=5.2040 c=7.7703 alpha=108.92 beta=97.03 gamma=91.57
With the nearest neighbours (Å) after each atom.
Fractional positions:
Li 0.6645 0.8332 0.3314  6 O 2.12-2.24
Li 0.0000 0.5000 0.0000  6 O 2.12-2.22
Li 0.3355 0.1668 0.6686  6 O 2.12-2.24
Mn 0.5000 0.0000 0.0000  4 O 1.93-2.06
Co 0.8319 0.6697 0.6648  6 O 1.92-2.13
Co 0.1681 0.3303 0.3352  6 O 1.92-2.13
O 0.2445 0.7341 0.5077  3 Co 1.92-2.09, 1 Li 2.12
O 0.5760 0.3976 0.1728  2 Co 1.95-2.13, 1 Mn 2.06, 1 Li 2.12
O 0.8867 0.0733 0.8360  1 Mn 1.93, 1 Co 2.08, 2 Li 2.12
O 0.1133 0.9267 0.1640  1 Mn 1.93, 1 Co 2.08, 2 Li 2.12
O 0.4240 0.6024 0.8272  2 Co 1.95-2.13, 1 Mn 2.06, 1 Li 2.12
O 0.7555 0.2659 0.4923  3 Co 1.92-2.09, 1 Li 2.12

no.,E_form (meV per atom)
1,-422
2,-1242
3,-2142
4,-938
5,-3172
6,-1682
7,-2789
8,-1788